(1)
MgGa | PBE-GGA | relaxed

abc: 8.045 8.045 8.045
angles: 96.71 96.71 140.01
Fractional positions:
Mg1 0.036 0.992 0.309
Mg2 0.184 0.728 0.191
Mg3 0.228 0.536 0.544
Mg4 0.492 0.684 0.956
Mg5 0.508 0.316 0.044
Mg6 0.772 0.464 0.456
Mg7 0.816 0.272 0.809
Mg8 0.964 0.008 0.691
Ga1 0.068 0.230 0.055
Ga2 0.270 0.825 0.838
Ga3 0.325 0.987 0.555
Ga4 0.487 0.432 0.662
Ga5 0.513 0.568 0.338
Ga6 0.675 0.013 0.445
Ga7 0.730 0.175 0.162
Ga8 0.932 0.770 0.945

Values from the calculation:
The electronic total energy is -2.4625 eV per atom. The formation energy comes out at -0.15 eV/atom.

(2)
Mg2Ga | PBE-GGA | relaxed

abc: 5.979 5.979 6.885
angles: 104.60 104.60 31.62
Fractional positions:
Mg1 0.025 0.025 0.288
Mg2 0.302 0.302 0.348
Mg3 0.698 0.698 0.652
Mg4 0.975 0.975 0.712
Ga1 0.360 0.360 0.972
Ga2 0.640 0.640 0.028

Values from the calculation:
The electronic total energy is -2.1443 eV per atom. As for the magnetic moment: 0.0000 μB per atom. The formation energy comes out at -0.07 eV/atom.